Computed, not measured: a geometry-optimized Li5V3P8O29 structure at the PBE with a Hubbard U level of DFT.

Volume (Å³/cell): 1173
Theoretical density (g/cm³): 2.546
Space group: P1, No. 1
Crystal system: triclinic
Formation energy from the elements (eV/atom): -2.62

Lattice parameters (Å, degrees): 9.761 9.812 14.116 89.40 89.18 60.21
Fractional coordinates of all 90 atoms:
O 0.800 0.985 0.263
O 0.990 0.231 0.067
O 0.672 0.510 0.330
O 0.379 0.522 0.320
O 0.801 0.008 0.085
O 0.482 0.625 0.168
O 0.331 0.488 0.666
O 0.233 0.786 0.068
O 0.922 0.340 0.661
O 0.999 0.795 0.751
O 0.994 0.214 0.248
O 0.681 0.652 0.474
O 0.745 0.014 0.441
O 0.004 0.786 0.931
O 0.078 0.538 0.833
O 0.749 0.915 0.661
O 0.924 0.743 0.164
O 0.199 0.016 0.737
O 0.336 0.751 0.658
O 0.210 0.791 0.247
O 0.082 0.663 0.335
O 0.349 0.916 0.166
O 0.814 0.506 0.831
O 0.377 0.080 0.834
O 0.674 0.651 0.978
O 0.516 0.813 0.333
O 0.907 0.618 0.682
O 0.324 0.343 0.023
O 0.680 0.803 0.830
O 0.766 0.227 0.930
O 0.994 0.242 0.428
O 0.623 0.485 0.678
O 0.630 0.905 0.166
O 0.323 0.194 0.175
O 0.310 0.334 0.529
O 0.740 0.343 0.160
O 0.256 0.659 0.836
O 0.511 0.674 0.836
O 0.196 0.991 0.916
O 0.010 0.756 0.574
O 0.814 0.662 0.317
O 0.485 0.187 0.670
O 0.656 0.087 0.834
O 0.078 0.256 0.839
O 0.185 0.484 0.176
O 0.252 0.999 0.562
O 0.091 0.384 0.320
O 0.522 0.095 0.322
O 0.486 0.327 0.165
O 0.793 0.213 0.750
O 0.524 0.383 0.827
O 0.664 0.252 0.338
O 0.240 0.759 0.427
O 0.248 0.084 0.339
O 0.480 0.904 0.678
O 0.761 0.247 0.571
O 0.900 0.481 0.167
O 0.186 0.336 0.687
P 0.081 0.695 0.845
P 0.681 0.086 0.347
P 0.772 0.324 0.660
P 0.320 0.775 0.156
P 0.916 0.771 0.660
P 0.332 0.333 0.128
P 0.911 0.318 0.155
P 0.666 0.664 0.872
P 0.229 0.683 0.338
P 0.680 0.231 0.841
P 0.334 0.334 0.633
P 0.321 0.916 0.654
P 0.083 0.233 0.338
P 0.783 0.915 0.164
P 0.668 0.663 0.369
P 0.220 0.082 0.838
V 0.001 0.439 0.756
V 0.567 0.430 0.249
V 0.570 0.996 0.755
V 0.004 0.572 0.249
V 0.433 0.570 0.749
V 0.430 0.006 0.249
Li 0.766 0.324 0.438
Li 0.691 0.085 0.566
Li 0.668 0.230 0.059
Li 0.674 0.677 0.110
Li 0.091 0.226 0.553
Li 0.011 0.943 0.013
Li 0.325 0.906 0.434
Li 0.228 0.681 0.557
Li 0.914 0.310 0.941
Li 0.321 0.767 0.938

***

Computed, not measured: a geometry-optimized Li5V3P8O29 structure at the PBE with a Hubbard U level of DFT.

Volume (Å³/cell): 1171
Theoretical density (g/cm³): 2.550
Space group: P1, No. 1
Crystal system: triclinic
Formation energy from the elements (eV/atom): -2.62

Lattice parameters (Å, degrees): 9.785 9.810 14.103 90.23 90.23 59.91
Fractional coordinates of all 90 atoms:
O 0.744 0.339 0.336
O 0.659 0.260 0.164
O 0.206 0.002 0.749
O 0.922 0.616 0.829
O 0.381 0.097 0.677
O 0.675 0.507 0.175
O 0.792 0.229 0.937
O 0.670 0.641 0.023
O 0.790 0.203 0.759
O 0.918 0.749 0.337
O 0.620 0.902 0.320
O 0.682 0.648 0.527
O 0.817 0.519 0.680
O 0.099 0.520 0.678
O 0.482 0.196 0.827
O 0.755 0.993 0.437
O 0.081 0.257 0.659
O 0.473 0.907 0.828
O 0.902 0.479 0.326
O 0.002 0.206 0.251
O 0.337 0.918 0.342
O 0.922 0.338 0.836
O 0.810 0.667 0.171
O 0.209 0.794 0.250
O 0.257 0.078 0.162
O 0.524 0.382 0.681
O 0.511 0.809 0.164
O 0.180 0.489 0.326
O 0.787 0.013 0.259
O 0.335 0.746 0.837
O 0.238 0.002 0.569
O 0.992 0.796 0.741
O 0.515 0.674 0.670
O 0.387 0.530 0.173
O 0.242 0.757 0.430
O 0.329 0.346 0.474
O 0.100 0.376 0.171
O 0.007 0.790 0.920
O 0.001 0.750 0.564
O 0.319 0.492 0.835
O 0.772 0.241 0.580
O 0.227 0.999 0.930
O 0.185 0.326 0.823
O 0.744 0.913 0.836
O 0.795 0.003 0.079
O 0.003 0.227 0.071
O 0.622 0.472 0.832
O 0.476 0.340 0.322
O 0.253 0.664 0.658
O 0.664 0.084 0.661
O 0.480 0.620 0.323
O 0.328 0.187 0.331
O 0.308 0.334 0.975
O 0.536 0.086 0.169
O 0.999 0.238 0.429
O 0.089 0.659 0.159
O 0.232 0.770 0.069
O 0.673 0.817 0.667
Li 0.765 0.333 0.062
Li 0.099 0.232 0.946
Li 0.226 0.093 0.438
Li 0.234 0.665 0.942
Li 0.906 0.320 0.553
Li 0.091 0.677 0.435
Li 0.320 0.771 0.559
Li 0.770 0.914 0.561
Li 0.332 0.901 0.061
Li 0.945 0.989 0.992
P 0.319 0.771 0.341
P 0.327 0.339 0.368
P 0.692 0.085 0.161
P 0.090 0.227 0.160
P 0.771 0.914 0.345
P 0.088 0.680 0.655
P 0.774 0.315 0.846
P 0.664 0.660 0.128
P 0.668 0.668 0.632
P 0.687 0.229 0.663
P 0.916 0.777 0.838
P 0.912 0.320 0.340
P 0.230 0.089 0.659
P 0.316 0.914 0.841
P 0.332 0.335 0.871
P 0.228 0.685 0.158
V 0.439 0.998 0.250
V 0.993 0.570 0.243
V 0.002 0.434 0.752
V 0.435 0.566 0.750
V 0.568 0.430 0.254
V 0.568 0.004 0.753

***

Computed, not measured: a geometry-optimized Li7V3P8O29 structure at the PBE with a Hubbard U level of DFT.

Volume (Å³/cell): 1173
Theoretical density (g/cm³): 2.585
Space group: P1, No. 1
Crystal system: triclinic
Formation energy from the elements (eV/atom): -2.68

Lattice parameters (Å, degrees): 9.888 9.831 13.935 90.26 90.75 60.02
Fractional coordinates of all 94 atoms:
P 0.317 0.910 0.847
P 0.680 0.086 0.153
P 0.913 0.772 0.842
P 0.662 0.672 0.127
P 0.225 0.090 0.660
P 0.778 0.317 0.839
P 0.667 0.666 0.628
P 0.677 0.224 0.655
P 0.339 0.331 0.374
P 0.334 0.332 0.874
P 0.231 0.685 0.159
P 0.325 0.769 0.345
P 0.913 0.307 0.345
P 0.082 0.221 0.158
P 0.780 0.914 0.339
P 0.085 0.688 0.653
Li 0.222 0.089 0.445
Li 0.329 0.909 0.062
Li 0.661 0.241 0.439
Li 0.692 0.663 0.390
Li 0.669 0.100 0.934
Li 0.665 0.666 0.884
Li 0.091 0.679 0.438
Li 0.912 0.773 0.061
Li 0.940 0.029 0.510
Li 0.013 0.077 0.969
Li 0.765 0.325 0.062
Li 0.323 0.768 0.566
Li 0.237 0.669 0.937
Li 0.333 0.331 0.617
O 0.518 0.664 0.659
O 0.781 0.223 0.927
O 0.333 0.482 0.839
O 0.087 0.666 0.157
O 0.676 0.675 0.522
O 0.337 0.320 0.980
O 0.997 0.206 0.430
O 0.809 0.678 0.160
O 0.249 0.671 0.659
O 0.230 0.996 0.935
O 0.786 0.015 0.418
O 0.895 0.624 0.833
O 0.513 0.816 0.175
O 0.919 0.745 0.342
O 0.339 0.919 0.347
O 0.383 0.525 0.179
O 0.243 0.758 0.433
O 0.784 0.217 0.746
O 0.759 0.222 0.565
O 0.335 0.746 0.843
O 0.232 0.996 0.572
O 0.216 0.790 0.252
O 0.999 0.204 0.253
O 0.657 0.816 0.679
O 0.742 0.335 0.337
O 0.350 0.312 0.482
O 0.664 0.076 0.664
O 0.001 0.778 0.564
O 0.632 0.481 0.833
O 0.798 0.987 0.238
O 0.373 0.107 0.672
O 0.483 0.182 0.831
O 0.007 0.768 0.930
O 0.333 0.184 0.329
O 0.101 0.524 0.664
O 0.663 0.252 0.157
O 0.489 0.625 0.328
O 0.246 0.762 0.070
O 0.250 0.079 0.162
O 0.815 0.524 0.675
O 0.082 0.254 0.659
O 0.479 0.896 0.836
O 0.191 0.481 0.340
O 0.994 0.789 0.747
O 0.672 0.514 0.164
O 0.213 0.001 0.753
O 0.925 0.330 0.838
O 0.748 0.919 0.844
O 0.523 0.096 0.170
O 0.990 0.209 0.074
O 0.629 0.903 0.332
O 0.187 0.339 0.822
O 0.489 0.326 0.336
O 0.080 0.377 0.166
O 0.513 0.369 0.667
O 0.756 0.004 0.061
O 0.898 0.470 0.337
O 0.638 0.683 0.020
V 0.003 0.432 0.749
V 0.569 0.431 0.248
V 0.435 0.563 0.750
V 0.566 0.997 0.750
V 0.003 0.560 0.249
V 0.435 0.004 0.252

***

Computed, not measured: a geometry-optimized Li3VP2O8 structure at the PBE with a Hubbard U level of DFT.

Volume (Å³/cell): 650
Theoretical density (g/cm³): 2.676
Formation energy from the elements (eV/atom): -2.66

Lattice parameters (Å, degrees): 7.142 10.099 10.098 115.89 83.67 96.33
Fractional coordinates of all 56 atoms:
O 0.178 0.413 0.094
O 0.769 0.069 0.911
O 0.178 0.656 0.337
O 0.166 0.159 0.591
O 0.536 0.408 0.842
O 0.822 0.344 0.663
O 0.231 0.431 0.589
O 0.834 0.341 0.909
O 0.536 0.908 0.342
O 0.178 0.156 0.837
O 0.606 0.334 0.415
O 0.394 0.165 0.085
O 0.769 0.839 0.681
O 0.178 0.913 0.594
O 0.964 0.361 0.389
O 0.606 0.835 0.915
O 0.464 0.592 0.158
O 0.822 0.087 0.406
O 0.166 0.659 0.091
O 0.964 0.861 0.889
O 0.822 0.587 0.906
O 0.769 0.339 0.181
O 0.231 0.931 0.089
O 0.394 0.666 0.585
O 0.036 0.639 0.611
O 0.834 0.841 0.409
O 0.231 0.661 0.819
O 0.769 0.569 0.411
O 0.036 0.139 0.111
O 0.822 0.844 0.163
O 0.464 0.092 0.658
O 0.231 0.161 0.319
P 0.246 0.579 0.171
P 0.220 0.603 0.647
P 0.780 0.897 0.853
P 0.246 0.079 0.671
P 0.780 0.397 0.353
P 0.754 0.921 0.329
P 0.754 0.421 0.829
P 0.220 0.103 0.147
Li 0.391 0.287 0.963
Li 0.609 0.713 0.037
Li 0.639 0.641 0.609
Li 0.391 0.787 0.463
Li 0.609 0.213 0.537
Li 0.310 0.456 0.793
Li 0.361 0.359 0.391
Li 0.361 0.859 0.891
Li 0.690 0.544 0.207
Li 0.310 0.956 0.294
Li 0.639 0.141 0.109
Li 0.690 0.044 0.706
V 0.971 0.748 0.502
V 0.971 0.248 0.002
V 0.029 0.252 0.498
V 0.029 0.752 0.998

***

Computed, not measured: a geometry-optimized Li2VP4O12 structure at the PBE with a Hubbard U level of DFT.

Volume (Å³/cell): 902
Theoretical density (g/cm³): 2.803
Space group: P2_1/c, No. 14
Crystal system: monoclinic
Formation energy from the elements (eV/atom): -2.64

Lattice parameters (Å, degrees): 10.294 9.253 9.476 88.16 90.00 90.00
Fractional coordinates of all 76 atoms:
P 0.026 0.760 0.732
P 0.474 0.760 0.232
P 0.603 0.731 0.803
P 0.103 0.269 0.697
P 0.897 0.731 0.303
P 0.887 0.049 0.705
P 0.605 0.481 0.202
P 0.105 0.519 0.298
P 0.113 0.951 0.295
P 0.613 0.049 0.205
P 0.895 0.481 0.702
P 0.526 0.240 0.768
P 0.395 0.519 0.798
P 0.397 0.269 0.197
P 0.387 0.951 0.795
P 0.974 0.240 0.268
O 0.486 0.832 0.858
O 0.979 0.246 0.109
O 0.269 0.941 0.889
O 0.122 0.253 0.853
O 0.014 0.832 0.358
O 0.874 0.061 0.862
O 0.417 0.350 0.827
O 0.917 0.650 0.673
O 0.021 0.754 0.891
O 0.374 0.939 0.638
O 0.037 0.424 0.655
O 0.231 0.941 0.389
O 0.377 0.552 0.642
O 0.583 0.650 0.173
O 0.036 0.094 0.333
O 0.514 0.168 0.142
O 0.626 0.061 0.362
O 0.986 0.168 0.642
O 0.290 0.562 0.900
O 0.283 0.249 0.101
O 0.464 0.094 0.833
O 0.710 0.438 0.100
O 0.217 0.249 0.601
O 0.521 0.246 0.609
O 0.123 0.552 0.142
O 0.153 0.737 0.662
O 0.877 0.448 0.858
O 0.347 0.737 0.162
O 0.083 0.350 0.327
O 0.479 0.754 0.391
O 0.378 0.253 0.353
O 0.536 0.906 0.167
O 0.769 0.059 0.611
O 0.783 0.751 0.399
O 0.717 0.751 0.899
O 0.847 0.263 0.338
O 0.210 0.562 0.400
O 0.622 0.747 0.647
O 0.623 0.448 0.358
O 0.878 0.747 0.147
O 0.126 0.939 0.138
O 0.964 0.906 0.667
O 0.790 0.438 0.600
O 0.653 0.263 0.838
O 0.537 0.576 0.845
O 0.463 0.424 0.155
O 0.963 0.576 0.345
O 0.731 0.059 0.111
Li 0.177 0.103 0.997
Li 0.174 0.397 0.001
Li 0.674 0.603 0.499
Li 0.323 0.103 0.497
Li 0.823 0.897 0.003
Li 0.326 0.397 0.501
Li 0.826 0.603 0.999
Li 0.677 0.897 0.503
V 0.804 0.253 0.983
V 0.696 0.253 0.483
V 0.196 0.747 0.017
V 0.304 0.747 0.517

***

What did we get for polymorph energy (0 for the lowest one)? Answer: 3; 4; 10; 47; 0 meV per atom, in the order shown.